A plane-wave DFT calculation with GGA-PBE was carried out for crystalline EuErTl2 at its relaxed geometry.

Crystal system: cubic
Space group: No. 225
Raw total energy in eV/atom: -5.242

a = 5.4849 Å, b = 5.4849 Å, c = 5.4849 Å
α = 60.00°, β = 60.00°, γ = 60.00°
Sites, in units of the cell vectors:
Eu 0.0000 0.0000 0.0000
Er 0.5000 0.5000 0.5000
Tl 0.2500 0.2500 0.2500
Tl 0.7500 0.7500 0.7500


A plane-wave DFT calculation with GGA-PBE was carried out for crystalline ErHfF7 at its relaxed geometry.

Crystal system: monoclinic
Space group: No. 4
Raw total energy in eV/atom: -7.065

a = 6.0518 Å, b = 5.6578 Å, c = 8.2080 Å
α = 90.00°, β = 102.21°, γ = 90.00°
Sites, in units of the cell vectors:
Er 0.1553 0.0000 0.1849
Er 0.8447 0.5000 0.8151
Hf 0.3115 0.9897 0.7238
Hf 0.6885 0.4897 0.2762
F 0.0434 0.2034 0.7114
F 0.0482 0.3099 0.0234
F 0.1201 0.6947 0.7169
F 0.2554 0.9946 0.4747
F 0.3608 0.9867 0.9740
F 0.4240 0.2715 0.2684
F 0.4613 0.7546 0.2625
F 0.5387 0.2546 0.7375
F 0.5760 0.7715 0.7316
F 0.6392 0.4867 0.0260
F 0.7446 0.4946 0.5253
F 0.8799 0.1947 0.2831
F 0.9518 0.8099 0.9766
F 0.9566 0.7034 0.2886


A plane-wave DFT calculation with GGA-PBE was carried out for crystalline KEr3F10 at its relaxed geometry.

Crystal system: cubic
Space group: No. 225
Raw total energy in eV/atom: -6.400

a = 8.1717 Å, b = 8.1717 Å, c = 8.1717 Å
α = 60.00°, β = 60.00°, γ = 60.00°
Sites, in units of the cell vectors:
K 0.2500 0.2500 0.2500
K 0.7500 0.7500 0.7500
Er 0.2405 0.2405 0.7595
Er 0.2405 0.7595 0.2405
Er 0.2405 0.7595 0.7595
Er 0.7595 0.2405 0.2405
Er 0.7595 0.2405 0.7595
Er 0.7595 0.7595 0.2405
F 0.1117 0.1117 0.1117
F 0.1117 0.1117 0.6650
F 0.1117 0.6650 0.1117
F 0.1701 0.5000 0.5000
F 0.1701 0.5000 0.8299
F 0.1701 0.8299 0.5000
F 0.3350 0.8883 0.8883
F 0.5000 0.1701 0.5000
F 0.5000 0.1701 0.8299
F 0.5000 0.5000 0.1701
F 0.5000 0.5000 0.8299
F 0.5000 0.8299 0.1701
F 0.5000 0.8299 0.5000
F 0.6650 0.1117 0.1117
F 0.8299 0.1701 0.5000
F 0.8299 0.5000 0.1701
F 0.8299 0.5000 0.5000
F 0.8883 0.3350 0.8883
F 0.8883 0.8883 0.3350
F 0.8883 0.8883 0.8883


A plane-wave DFT calculation with GGA-PBE was carried out for crystalline KEr2F7 at its relaxed geometry.

Crystal system: orthorhombic
Space group: No. 33
Raw total energy in eV/atom: -6.268

a = 11.8585 Å, b = 13.3420 Å, c = 7.8123 Å
α = 90.00°, β = 90.00°, γ = 90.00°
Sites, in units of the cell vectors:
K 0.0651 0.0684 0.0000
K 0.0854 0.5939 0.5227
K 0.4146 0.0939 0.0227
K 0.4349 0.5684 0.5000
K 0.5651 0.4316 0.0000
K 0.5854 0.9061 0.5227
K 0.9146 0.4061 0.0227
K 0.9349 0.9316 0.5000
Er 0.0071 0.7585 0.0244
Er 0.2102 0.5627 0.0231
Er 0.2437 0.3370 0.2504
Er 0.2439 0.3374 0.7978
Er 0.2561 0.8374 0.2978
Er 0.2563 0.8370 0.7504
Er 0.2898 0.0627 0.5231
Er 0.4929 0.2585 0.5244
Er 0.5071 0.7415 0.0244
Er 0.7102 0.9373 0.0231
Er 0.7437 0.1630 0.2504
Er 0.7439 0.1626 0.7978
Er 0.7561 0.6626 0.2978
Er 0.7563 0.6630 0.7504
Er 0.7898 0.4373 0.5231
Er 0.9929 0.2415 0.5244
F 0.0265 0.5890 0.0224
F 0.0734 0.2695 0.7785
F 0.0747 0.2674 0.2713
F 0.0864 0.8758 0.1990
F 0.0889 0.8770 0.8566
F 0.1237 0.1255 0.5281
F 0.1335 0.4046 0.0244
F 0.1629 0.9195 0.5252
F 0.1695 0.6984 0.8540
F 0.1702 0.6984 0.1917
F 0.1926 0.3390 0.5244
F 0.2188 0.5023 0.2881
F 0.2191 0.5019 0.7595
F 0.2429 0.7349 0.5233
F 0.2571 0.2349 0.0233
F 0.2809 0.0019 0.2595
F 0.2812 0.0023 0.7881
F 0.3074 0.8390 0.0244
F 0.3298 0.1984 0.6917
F 0.3305 0.1984 0.3540
F 0.3371 0.4195 0.0252
F 0.3665 0.9046 0.5244
F 0.3763 0.6255 0.0281
F 0.4111 0.3770 0.3566
F 0.4136 0.3758 0.6990
F 0.4253 0.7674 0.7713
F 0.4266 0.7695 0.2785
F 0.4735 0.0890 0.5224
F 0.5265 0.9110 0.0224
F 0.5734 0.2305 0.7785
F 0.5747 0.2326 0.2713
F 0.5864 0.6242 0.1990
F 0.5889 0.6230 0.8566
F 0.6237 0.3745 0.5281
F 0.6335 0.0954 0.0244
F 0.6629 0.5805 0.5252
F 0.6695 0.8016 0.8540
F 0.6702 0.8016 0.1917
F 0.6926 0.1610 0.5244
F 0.7188 0.9977 0.2881
F 0.7191 0.9981 0.7595
F 0.7429 0.7651 0.5233
F 0.7571 0.2651 0.0233
F 0.7809 0.4981 0.2595
F 0.7812 0.4977 0.7881
F 0.8074 0.6610 0.0244
F 0.8298 0.3016 0.6917
F 0.8305 0.3016 0.3540
F 0.8371 0.0805 0.0252
F 0.8665 0.5954 0.5244
F 0.8763 0.8745 0.0281
F 0.9111 0.1230 0.3566
F 0.9136 0.1242 0.6990
F 0.9253 0.7326 0.7713
F 0.9266 0.7305 0.2785
F 0.9735 0.4110 0.5224